Here is a relaxed structure of Ti9Fe11O30 from the Materials Project database. Energies are from GGA+U.

Unit cell a=7.606 b=8.915 c=9.191 alpha=81.01 beta=72.18 gamma=66.92
Space group P1 (No. 1)
One atom of each set of equivalent atoms:
Ti: 0.000 0.000 0.000 [1 per cell]
Ti: 0.074 0.316 0.944 [1 per cell]
Ti: 0.195 0.408 0.195 [1 per cell]
Ti: 0.393 0.803 0.396 [1 per cell]
Ti: 0.470 0.120 0.343 [1 per cell]
Ti: 0.597 0.205 0.599 [1 per cell]
Ti: 0.677 0.522 0.546 [1 per cell]
Ti: 0.794 0.603 0.800 [1 per cell]
Ti: 0.873 0.921 0.749 [1 per cell]
Fe: 0.097 0.199 0.595 [1 per cell]
Fe: 0.170 0.522 0.550 [1 per cell]
Fe: 0.275 0.721 0.146 [1 per cell]
Fe: 0.297 0.603 0.801 [1 per cell]
Fe: 0.372 0.919 0.747 [1 per cell]
Fe: 0.494 0.004 0.995 [1 per cell]
Fe: 0.571 0.319 0.950 [1 per cell]
Fe: 0.693 0.405 0.197 [1 per cell]
Fe: 0.770 0.722 0.149 [1 per cell]
Fe: 0.894 0.809 0.396 [1 per cell]
Fe: 0.972 0.122 0.345 [1 per cell]
O: 0.100 0.489 0.793 [1 per cell]
O: 0.107 0.845 0.809 [1 per cell]
O: 0.121 0.151 0.822 [1 per cell]
O: 0.147 0.569 0.335 [1 per cell]
O: 0.158 0.878 0.338 [1 per cell]
O: 0.176 0.234 0.341 [1 per cell]
O: 0.294 0.895 0.992 [1 per cell]
O: 0.310 0.248 0.007 [1 per cell]
O: 0.321 0.541 0.027 [1 per cell]
O: 0.350 0.975 0.521 [1 per cell]
O: 0.354 0.285 0.537 [1 per cell]
O: 0.364 0.628 0.543 [1 per cell]
O: 0.503 0.289 0.198 [1 per cell]
O: 0.517 0.655 0.214 [1 per cell]
O: 0.519 0.951 0.224 [1 per cell]
O: 0.549 0.374 0.724 [1 per cell]
O: 0.564 0.669 0.733 [1 per cell]
O: 0.572 0.035 0.739 [1 per cell]
O: 0.694 0.693 0.408 [1 per cell]
O: 0.702 0.053 0.412 [1 per cell]
O: 0.725 0.348 0.426 [1 per cell]
O: 0.745 0.776 0.917 [1 per cell]
O: 0.766 0.070 0.931 [1 per cell]
O: 0.772 0.432 0.943 [1 per cell]
O: 0.897 0.093 0.602 [1 per cell]
O: 0.914 0.453 0.606 [1 per cell]
O: 0.931 0.744 0.623 [1 per cell]
O: 0.949 0.174 0.117 [1 per cell]
O: 0.962 0.470 0.134 [1 per cell]
O: 0.966 0.831 0.143 [1 per cell]

* energy above the lowest structure with this stoichiometry: 34 meV/atom
* crystal system: triclinic



Here is a relaxed structure of NaCoH3C3O6 from the Materials Project database. Energies are from GGA+U.

Unit cell a=12.873 b=9.113 c=9.072 alpha=90.00 beta=134.53 gamma=90.00
Space group C2 (No. 5)
One atom of each set of equivalent atoms:
Na: 0.089 0.000 0.433 [4 per cell]
Co: 0.091 0.318 0.252 [4 per cell]
H: 0.000 0.442 0.500 [2 per cell]
H: 0.000 0.914 0.000 [2 per cell]
H: 0.012 0.670 0.761 [4 per cell]
H: 0.233 0.409 0.967 [4 per cell]
C: 0.000 0.036 0.000 [2 per cell]
C: 0.000 0.320 0.500 [2 per cell]
C: 0.109 0.654 0.360 [4 per cell]
C: 0.238 0.407 0.094 [4 per cell]
O: 0.033 0.255 0.414 [4 per cell]
O: 0.049 0.097 0.163 [4 per cell]
O: 0.121 0.366 0.044 [4 per cell]
O: 0.146 0.944 0.729 [4 per cell]
O: 0.159 0.530 0.370 [4 per cell]
O: 0.184 0.763 0.476 [4 per cell]

* crystal system: monoclinic



Here is a relaxed structure of Li3Fe2P4O14 from the Materials Project database. Energies are from GGA+U.

Unit cell a=9.841 b=9.852 c=11.226 alpha=90.01 beta=102.25 gamma=90.12
Space group P1 (No. 1)
One atom of each set of equivalent atoms:
Li: 0.000 0.000 0.000 [1 per cell]
Li: 0.002 0.277 0.958 [1 per cell]
Li: 0.010 0.619 0.421 [1 per cell]
Li: 0.189 0.828 0.481 [1 per cell]
Li: 0.251 0.115 0.491 [1 per cell]
Li: 0.416 0.631 0.895 [1 per cell]
Li: 0.484 0.947 0.004 [1 per cell]
Li: 0.516 0.339 0.424 [1 per cell]
Li: 0.692 0.122 0.481 [1 per cell]
Li: 0.721 0.507 0.906 [1 per cell]
Li: 0.749 0.817 0.494 [1 per cell]
Li: 0.777 0.806 0.997 [1 per cell]
Fe: 0.308 0.641 0.129 [1 per cell]
Fe: 0.349 0.431 0.627 [1 per cell]
Fe: 0.355 0.933 0.275 [1 per cell]
Fe: 0.397 0.151 0.789 [1 per cell]
Fe: 0.807 0.304 0.134 [1 per cell]
Fe: 0.847 0.503 0.619 [1 per cell]
Fe: 0.856 0.014 0.276 [1 per cell]
Fe: 0.904 0.793 0.776 [1 per cell]
P: 0.040 0.795 0.209 [1 per cell]
P: 0.078 0.274 0.697 [1 per cell]
P: 0.123 0.176 0.208 [1 per cell]
P: 0.162 0.647 0.690 [1 per cell]
P: 0.220 0.436 0.335 [1 per cell]
P: 0.230 0.869 0.875 [1 per cell]
P: 0.480 0.372 0.025 [1 per cell]
P: 0.482 0.934 0.571 [1 per cell]
P: 0.541 0.155 0.211 [1 per cell]
P: 0.577 0.670 0.695 [1 per cell]
P: 0.624 0.776 0.206 [1 per cell]
P: 0.662 0.299 0.696 [1 per cell]
P: 0.721 0.521 0.331 [1 per cell]
P: 0.728 0.083 0.882 [1 per cell]
P: 0.982 0.015 0.564 [1 per cell]
P: 0.982 0.575 0.033 [1 per cell]
O: 0.001 0.373 0.602 [1 per cell]
O: 0.002 0.128 0.671 [1 per cell]
O: 0.019 0.628 0.722 [1 per cell]
O: 0.037 0.798 0.343 [1 per cell]
O: 0.081 0.303 0.827 [1 per cell]
O: 0.081 0.885 0.892 [1 per cell]
O: 0.083 0.469 0.359 [1 per cell]
O: 0.119 0.145 0.075 [1 per cell]
O: 0.123 0.991 0.537 [1 per cell]
O: 0.134 0.572 0.023 [1 per cell]
O: 0.163 0.657 0.556 [1 per cell]
O: 0.188 0.802 0.181 [1 per cell]
O: 0.204 0.319 0.232 [1 per cell]
O: 0.205 0.080 0.304 [1 per cell]
O: 0.225 0.790 0.749 [1 per cell]
O: 0.233 0.256 0.671 [1 per cell]
O: 0.273 0.539 0.748 [1 per cell]
O: 0.296 0.547 0.278 [1 per cell]
O: 0.303 0.004 0.861 [1 per cell]
O: 0.321 0.374 0.453 [1 per cell]
O: 0.326 0.782 0.973 [1 per cell]
O: 0.372 0.889 0.457 [1 per cell]
O: 0.398 0.291 0.918 [1 per cell]
O: 0.417 0.513 0.039 [1 per cell]
O: 0.420 0.053 0.632 [1 per cell]
O: 0.449 0.037 0.152 [1 per cell]
O: 0.470 0.757 0.221 [1 per cell]
O: 0.474 0.294 0.149 [1 per cell]
O: 0.487 0.565 0.610 [1 per cell]
O: 0.496 0.813 0.670 [1 per cell]
O: 0.507 0.307 0.714 [1 per cell]
O: 0.541 0.167 0.344 [1 per cell]
O: 0.575 0.072 0.895 [1 per cell]
O: 0.583 0.643 0.829 [1 per cell]
O: 0.585 0.487 0.360 [1 per cell]
O: 0.623 0.958 0.543 [1 per cell]
O: 0.630 0.822 0.078 [1 per cell]
O: 0.636 0.386 0.021 [1 per cell]
O: 0.668 0.295 0.563 [1 per cell]
O: 0.689 0.147 0.182 [1 per cell]
O: 0.696 0.630 0.219 [1 per cell]
O: 0.705 0.865 0.309 [1 per cell]
O: 0.719 0.154 0.751 [1 per cell]
O: 0.721 0.684 0.661 [1 per cell]
O: 0.753 0.411 0.764 [1 per cell]
O: 0.793 0.405 0.276 [1 per cell]
O: 0.795 0.945 0.875 [1 per cell]
O: 0.821 0.172 0.978 [1 per cell]
O: 0.822 0.591 0.440 [1 per cell]
O: 0.875 0.070 0.453 [1 per cell]
O: 0.883 0.657 0.934 [1 per cell]
O: 0.917 0.892 0.616 [1 per cell]
O: 0.920 0.433 0.044 [1 per cell]
O: 0.940 0.903 0.139 [1 per cell]
O: 0.971 0.194 0.229 [1 per cell]
O: 0.976 0.650 0.160 [1 per cell]

* energy above the lowest structure with this stoichiometry: 6 meV/atom
* crystal system: triclinic



Here is a relaxed structure of Li9Mn2Co5O16 from the Materials Project database. Energies are from GGA+U.

Unit cell a=5.887 b=5.890 c=8.583 alpha=70.62 beta=87.99 gamma=86.79
Space group P-1 (No. 2)
One atom of each set of equivalent atoms:
Li: 0.000 0.000 0.000 [1 per cell]
Li: 0.000 0.500 0.000 [1 per cell]
Li: 0.255 0.367 0.759 [2 per cell]
Li: 0.255 0.874 0.758 [2 per cell]
Li: 0.497 0.750 0.501 [2 per cell]
Li: 0.500 0.000 0.000 [1 per cell]
Mn: 0.255 0.634 0.246 [2 per cell]
Co: 0.003 0.251 0.502 [2 per cell]
Co: 0.255 0.130 0.248 [2 per cell]
Co: 0.500 0.500 0.000 [1 per cell]
O: 0.003 0.858 0.257 [2 per cell]
O: 0.032 0.380 0.262 [2 per cell]
O: 0.236 0.020 0.489 [2 per cell]
O: 0.237 0.522 0.489 [2 per cell]
O: 0.255 0.734 0.012 [2 per cell]
O: 0.274 0.261 0.019 [2 per cell]
O: 0.466 0.869 0.251 [2 per cell]
O: 0.499 0.403 0.240 [2 per cell]

* energy above the lowest structure with this stoichiometry: 13 meV/atom
* crystal system: triclinic



Here is a relaxed structure of Ba2MgCo2O6 from the Materials Project database. Energies are from GGA+U.

Unit cell a=5.598 b=5.745 c=5.827 alpha=63.16 beta=85.10 gamma=70.05
Space group P1 (No. 1)
One atom of each set of equivalent atoms:
Ba: 0.000 0.000 0.000 [1 per cell]
Ba: 0.345 0.482 0.752 [1 per cell]
Mg: 0.719 0.842 0.563 [1 per cell]
Co: 0.164 0.238 0.399 [1 per cell]
Co: 0.633 0.627 0.192 [1 per cell]
O: 0.006 0.984 0.458 [1 per cell]
O: 0.348 0.499 0.224 [1 per cell]
O: 0.403 0.014 0.700 [1 per cell]
O: 0.513 0.956 0.216 [1 per cell]
O: 0.864 0.556 0.965 [1 per cell]
O: 0.871 0.477 0.507 [1 per cell]

* energy above the lowest structure with this stoichiometry: 0 meV/atom
* crystal system: triclinic



Here is a relaxed structure of MgCoP2O7 from the Materials Project database. Energies are from GGA+U.

Unit cell a=5.110 b=5.657 c=5.680 alpha=74.10 beta=68.00 gamma=83.40
Space group P1 (No. 1)
One atom of each set of equivalent atoms:
Mg: 0.000 0.000 0.000 [1 per cell]
Co: 0.175 0.155 0.387 [1 per cell]
P: 0.548 0.901 0.845 [1 per cell]
P: 0.691 0.499 0.202 [1 per cell]
O: 0.358 0.973 0.102 [1 per cell]
O: 0.362 0.923 0.686 [1 per cell]
O: 0.401 0.408 0.395 [1 per cell]
O: 0.647 0.617 0.918 [1 per cell]
O: 0.816 0.700 0.254 [1 per cell]
O: 0.822 0.052 0.723 [1 per cell]
O: 0.909 0.285 0.156 [1 per cell]

* energy above the lowest structure with this stoichiometry: 106 meV/atom
* crystal system: triclinic



Here is a relaxed structure of RbMo2P3O13 from the Materials Project database. Energies are from GGA+U.

Unit cell a=6.496 b=19.726 c=9.927 alpha=90.00 beta=107.07 gamma=90.00
Space group P2_1 (No. 4)
One atom of each set of equivalent atoms:
Rb: 0.214 0.000 0.127 [2 per cell]
Rb: 0.225 0.180 0.515 [2 per cell]
Mo: 0.064 0.800 0.892 [2 per cell]
Mo: 0.141 0.512 0.572 [2 per cell]
Mo: 0.362 0.837 0.446 [2 per cell]
Mo: 0.440 0.555 0.127 [2 per cell]
P: 0.013 0.087 0.784 [2 per cell]
P: 0.095 0.353 0.459 [2 per cell]
P: 0.244 0.710 0.207 [2 per cell]
P: 0.261 0.643 0.806 [2 per cell]
P: 0.403 0.000 0.529 [2 per cell]
P: 0.481 0.266 0.198 [2 per cell]
O: 0.029 0.668 0.209 [2 per cell]
O: 0.037 0.569 0.370 [2 per cell]
O: 0.048 0.316 0.317 [2 per cell]
O: 0.060 0.824 0.462 [2 per cell]
O: 0.067 0.883 0.944 [2 per cell]
O: 0.077 0.430 0.438 [2 per cell]
O: 0.094 0.693 0.829 [2 per cell]
O: 0.122 0.551 0.134 [2 per cell]
O: 0.168 0.764 0.095 [2 per cell]
O: 0.177 0.021 0.434 [2 per cell]
O: 0.177 0.609 0.660 [2 per cell]
O: 0.209 0.468 0.726 [2 per cell]
O: 0.244 0.273 0.114 [2 per cell]
O: 0.250 0.080 0.871 [2 per cell]
O: 0.286 0.882 0.292 [2 per cell]
O: 0.321 0.330 0.550 [2 per cell]
O: 0.331 0.741 0.355 [2 per cell]
O: 0.336 0.589 0.919 [2 per cell]
O: 0.377 0.801 0.880 [2 per cell]
O: 0.406 0.660 0.181 [2 per cell]
O: 0.417 0.924 0.570 [2 per cell]
O: 0.444 0.472 0.078 [2 per cell]
O: 0.447 0.520 0.560 [2 per cell]
O: 0.455 0.045 0.662 [2 per cell]
O: 0.470 0.785 0.646 [2 per cell]
O: 0.476 0.685 0.805 [2 per cell]

* crystal system: monoclinic



Here is a relaxed structure of Li2Fe3CoO8 from the Materials Project database. Energies are from GGA+U.

Unit cell a=8.251 b=8.276 c=8.347 alpha=90.01 beta=90.06 gamma=90.02
Space group P1 (No. 1)
One atom of each set of equivalent atoms:
Li: 0.000 0.000 0.000 [1 per cell]
Li: 0.002 0.499 0.496 [1 per cell]
Li: 0.129 0.629 0.126 [1 per cell]
Li: 0.374 0.375 0.624 [1 per cell]
Li: 0.499 0.504 0.997 [1 per cell]
Li: 0.502 0.003 0.499 [1 per cell]
Li: 0.628 0.875 0.871 [1 per cell]
Li: 0.873 0.130 0.370 [1 per cell]
Fe: 0.127 0.876 0.369 [1 per cell]
Fe: 0.128 0.374 0.870 [1 per cell]
Fe: 0.129 0.131 0.626 [1 per cell]
Fe: 0.374 0.129 0.872 [1 per cell]
Fe: 0.374 0.629 0.371 [1 per cell]
Fe: 0.375 0.875 0.125 [1 per cell]
Fe: 0.627 0.129 0.126 [1 per cell]
Fe: 0.627 0.376 0.371 [1 per cell]
Fe: 0.627 0.627 0.623 [1 per cell]
Fe: 0.872 0.877 0.624 [1 per cell]
Fe: 0.874 0.375 0.125 [1 per cell]
Fe: 0.875 0.631 0.872 [1 per cell]
Co: 0.250 0.253 0.248 [1 per cell]
Co: 0.252 0.750 0.748 [1 per cell]
Co: 0.750 0.253 0.747 [1 per cell]
Co: 0.751 0.753 0.248 [1 per cell]
O: 0.106 0.374 0.106 [1 per cell]
O: 0.115 0.606 0.871 [1 per cell]
O: 0.117 0.892 0.612 [1 per cell]
O: 0.124 0.357 0.644 [1 per cell]
O: 0.129 0.116 0.395 [1 per cell]
O: 0.137 0.139 0.859 [1 per cell]
O: 0.146 0.880 0.140 [1 per cell]
O: 0.149 0.640 0.374 [1 per cell]
O: 0.355 0.357 0.874 [1 per cell]
O: 0.357 0.125 0.645 [1 per cell]
O: 0.371 0.862 0.359 [1 per cell]
O: 0.373 0.894 0.894 [1 per cell]
O: 0.379 0.648 0.144 [1 per cell]
O: 0.388 0.115 0.108 [1 per cell]
O: 0.392 0.395 0.372 [1 per cell]
O: 0.394 0.628 0.607 [1 per cell]
O: 0.607 0.131 0.890 [1 per cell]
O: 0.609 0.896 0.125 [1 per cell]
O: 0.612 0.615 0.386 [1 per cell]
O: 0.623 0.147 0.351 [1 per cell]
O: 0.629 0.393 0.602 [1 per cell]
O: 0.636 0.364 0.137 [1 per cell]
O: 0.640 0.624 0.848 [1 per cell]
O: 0.640 0.856 0.622 [1 per cell]
O: 0.855 0.147 0.121 [1 per cell]
O: 0.856 0.379 0.351 [1 per cell]
O: 0.862 0.633 0.630 [1 per cell]
O: 0.872 0.609 0.108 [1 per cell]
O: 0.879 0.856 0.859 [1 per cell]
O: 0.889 0.388 0.886 [1 per cell]
O: 0.890 0.876 0.387 [1 per cell]
O: 0.894 0.115 0.625 [1 per cell]

* energy above the lowest structure with this stoichiometry: 100 meV/atom
* crystal system: triclinic



Here is a relaxed structure of Li3MnNi4O8 from the Materials Project database. Energies are from GGA+U.

Unit cell a=10.180 b=5.877 c=5.868 alpha=90.00 beta=124.98 gamma=90.00
Space group C2/m (No. 12)
One atom of each set of equivalent atoms:
Li: 0.000 0.000 0.000 [2 per cell]
Li: 0.250 0.250 0.000 [4 per cell]
Mn: 0.000 0.500 0.500 [2 per cell]
Ni: 0.000 0.000 0.500 [2 per cell]
Ni: 0.000 0.500 0.000 [2 per cell]
Ni: 0.250 0.250 0.500 [4 per cell]
O: 0.001 0.264 0.737 [8 per cell]
O: 0.235 0.500 0.726 [4 per cell]
O: 0.249 0.000 0.731 [4 per cell]

* crystal system: monoclinic



Number 1: electronic total energy -378.60 eV per formula unit, calculated formation energy -2227.1 meV per atom. Number 2: electronic total energy -89.13 eV per formula unit, calculated formation energy -1350.5 meV per atom. Number 3: electronic total energy -157.25 eV per formula unit, calculated formation energy -2512.6 meV per atom. Number 4: electronic total energy -186.93 eV per formula unit, calculated formation energy -1851.2 meV per atom. Number 5: electronic total energy -65.21 eV per formula unit, calculated formation energy -2115.4 meV per atom. Number 6: electronic total energy -75.35 eV per formula unit, calculated formation energy -2511.4 meV per atom. Number 7: electronic total energy -134.82 eV per formula unit, calculated formation energy -2469.6 meV per atom. Number 8: electronic total energy -83.68 eV per formula unit, calculated formation energy -1547.2 meV per atom. Number 9: electronic total energy -86.35 eV per formula unit, calculated formation energy -1630.4 meV per atom.